(1)
DFT (r2SCAN) results for a geometry-optimized Mg3H2O4 structure.

Unit cell a=3.0303 b=3.0303 c=19.2025 alpha=90.00 beta=90.00 gamma=120.00
With the nearest neighbours (Å) after each atom.
Space group P-3m1 (No. 164)
Asymmetric unit:
Mg1 0.0000 0.0000 0.1228 [2 per cell]  6 O 2.05-2.13
Mg2 0.3333 0.6667 0.3749 [2 per cell]  6 O 2.04-2.13
Mg3 0.3333 0.6667 0.7510 [2 per cell]  6 O 2.12-2.13
H1 0.3333 0.6667 0.5202 [2 per cell]  1 O 0.96
H2 0.3333 0.6667 0.9826 [2 per cell]  1 O 0.96
O1 0.0000 0.0000 0.3118 [2 per cell]  6 Mg 2.12-2.13
O2 0.3333 0.6667 0.1861 [2 per cell]  6 Mg 2.13
O3 0.3333 0.6667 0.5702 [2 per cell]  1 H 0.96
O4 0.3333 0.6667 0.9324 [2 per cell]  1 H 0.96

The crystal system is trigonal.

***

(2)
DFT (r2SCAN) results for a geometry-optimized UBe13 structure.

Unit cell a=10.2388 b=10.2388 c=10.2388 alpha=90.00 beta=90.00 gamma=90.00
With the nearest neighbours (Å) after each atom.
Space group Fm-3c (No. 226)
Asymmetric unit:
U1 0.2500 0.2500 0.2500 [8 per cell]  24 Be 3.01
Be1 0.0000 0.0000 0.0000 [8 per cell]  12 Be 2.15
Be2 0.0000 0.1142 0.1762 [96 per cell]  10 Be 2.15-2.34

The crystal system is cubic.

***

(3)
DFT (r2SCAN) results for a geometry-optimized NaSbO6 structure.

Unit cell a=8.5598 b=8.5598 c=6.7726 alpha=90.00 beta=90.00 gamma=90.00
With the nearest neighbours (Å) after each atom.
Space group P4_2/nnm (No. 134, origin choice 2)
Asymmetric unit:
Na1 0.0000 0.0000 0.0000 [4 per cell]  6 O 2.22-2.38
Sb1 0.0000 0.0000 0.5000 [4 per cell]  2 O 1.81
O1 0.0100 0.2490 0.3478 [16 per cell]  1 O 1.33
O2 0.0890 0.5890 0.2142 [8 per cell]  1 Sb 1.81

The crystal system is tetragonal.

***

(4)
DFT (r2SCAN) results for a geometry-optimized La3U2O10 structure.

Unit cell a=12.1038 b=5.5354 c=8.5684 alpha=90.00 beta=132.59 gamma=90.00
With the nearest neighbours (Å) after each atom.
Space group C2/m (No. 12)
Asymmetric unit:
La1 0.0000 0.0000 0.0000 [2 per cell]  8 O 2.48-2.49
La2 0.1001 0.5000 0.4024 [4 per cell]  8 O 2.43-2.51
U1 0.1910 0.0000 0.7905 [4 per cell]  6 O 2.14-2.29
O1 0.0000 0.2221 0.5000 [4 per cell]  2 U 2.29, 2 La 2.43, 1 O 2.46
O2 0.1087 0.2432 0.8884 [8 per cell]  1 U 2.15
O3 0.2099 0.2657 0.2847 [8 per cell]  1 U 2.14

The crystal system is monoclinic.

***

(5)
DFT (r2SCAN) results for a geometry-optimized Cs3Bi2I9 structure.

Unit cell a=8.5400 b=8.5400 c=21.6317 alpha=90.00 beta=90.00 gamma=120.00
With the nearest neighbours (Å) after each atom.
Space group P6_3/mmc (No. 194)
Asymmetric unit:
Cs1 0.0000 0.0000 0.2500 [2 per cell]  12 I 4.27-4.37
Cs2 0.3333 0.6667 0.0752 [4 per cell]  12 I 4.22-4.49
Bi1 0.3333 0.6667 0.6561 [4 per cell]  6 I 2.96-3.23
I1 0.0070 0.5035 0.2500 [6 per cell]  2 Bi 3.23
I2 0.1645 0.3289 0.5823 [12 per cell]  1 Bi 2.96

The crystal system is hexagonal.

***

(6)
DFT (r2SCAN) results for a geometry-optimized Li2AcIn structure.

Unit cell a=7.3274 b=7.3274 c=7.3274 alpha=90.00 beta=90.00 gamma=90.00
With the nearest neighbours (Å) after each atom.
Space group Fm-3m (No. 225)
Asymmetric unit:
Li1 0.2500 0.2500 0.2500 [8 per cell]  4 Ac 3.17, 4 In 3.17
Ac1 0.0000 0.0000 0.0000 [4 per cell]  8 Li 3.17
In1 0.0000 0.0000 0.5000 [4 per cell]  8 Li 3.17

The crystal system is cubic.

***

(7)
DFT (r2SCAN) results for a geometry-optimized Gd2CuOs structure.

Unit cell a=6.8975 b=6.8975 c=6.8975 alpha=90.00 beta=90.00 gamma=90.00
With the nearest neighbours (Å) after each atom.
Space group Fm-3m (No. 225)
Asymmetric unit:
Gd1 0.2500 0.2500 0.2500 [8 per cell]  4 Os 2.99, 4 Cu 2.99
Cu1 0.0000 0.0000 0.0000 [4 per cell]  8 Gd 2.99
Os1 0.0000 0.0000 0.5000 [4 per cell]  8 Gd 2.99

The crystal system is cubic.

***

(8)
DFT (r2SCAN) results for a geometry-optimized Er2TlAg structure.

Unit cell a=7.3178 b=7.3178 c=7.3178 alpha=90.00 beta=90.00 gamma=90.00
With the nearest neighbours (Å) after each atom.
Space group Fm-3m (No. 225)
Asymmetric unit:
Er1 0.2500 0.2500 0.2500 [8 per cell]  4 Tl 3.17, 4 Ag 3.17
Tl1 0.0000 0.0000 0.0000 [4 per cell]  8 Er 3.17
Ag1 0.0000 0.0000 0.5000 [4 per cell]  8 Er 3.17

The crystal system is cubic.

***

Mass density: 3.0, 4.4, 3.2, 8.3, 4.8, 6.0, 11.5, 11.0 (Mg/m³)
Formation energy: -2.3560, -0.1256, -0.5610, -3.7531, -1.1128, -0.3408, -0.1790, -0.4053 (eV/atom)